1.
This record from the Materials Project database describes a relaxed structure of K3Dy. The functional is PBE.

Summary:
**Mass density**: 2.0 g/cm³

CIF file:
```
data_K3Dy
_chemical_formula_sum 'K6 Dy2'
_cell_length_a 8.6086
_cell_length_b 8.6086
_cell_length_c 7.0792
_cell_angle_alpha 90.00
_cell_angle_beta 90.00
_cell_angle_gamma 120.00
_symmetry_space_group_name_H-M 'P 63/m m c'
_symmetry_Int_Tables_number 194
_symmetry_space_group_name_Hall '-P 6c 2c'
loop_
_atom_site_label
_atom_site_fract_x
_atom_site_fract_y
_atom_site_fract_z
_atom_site_occupancy
K1 0.1713 0.3426 0.2500 1
Dy1 0.3333 0.6667 0.7500 1
```


2.
This record from the Materials Project database describes a relaxed structure of K3Dy. The functional is PBE.

Summary:
**Mass density**: 2.1 g/cm³

CIF file:
```
data_K3Dy
_chemical_formula_sum 'K6 Dy2'
_cell_length_a 5.8249
_cell_length_b 5.8249
_cell_length_c 13.2898
_cell_angle_alpha 90.00
_cell_angle_beta 90.00
_cell_angle_gamma 90.00
_symmetry_space_group_name_H-M 'I 4/m m m'
_symmetry_Int_Tables_number 139
_symmetry_space_group_name_Hall '-I 4 2'
loop_
_atom_site_label
_atom_site_fract_x
_atom_site_fract_y
_atom_site_fract_z
_atom_site_occupancy
K1 0.0000 0.0000 0.0000 1
K2 0.0000 0.5000 0.2500 1
Dy1 0.0000 0.0000 0.5000 1
```


3.
This record from the Materials Project database describes a relaxed structure of K3Dy. The functional is PBE.

Summary:
**Mass density**: 2.0 g/cm³

CIF file:
```
data_K3Dy
_chemical_formula_sum 'K12 Dy4'
_cell_length_a 9.7132
_cell_length_b 9.7132
_cell_length_c 9.7132
_cell_angle_alpha 90.00
_cell_angle_beta 90.00
_cell_angle_gamma 90.00
_symmetry_space_group_name_H-M 'F m -3 m'
_symmetry_Int_Tables_number 225
_symmetry_space_group_name_Hall '-F 4 2 3'
loop_
_atom_site_label
_atom_site_fract_x
_atom_site_fract_y
_atom_site_fract_z
_atom_site_occupancy
K1 0.0000 0.0000 0.0000 1
K2 0.2500 0.2500 0.2500 1
Dy1 0.0000 0.0000 0.5000 1
```


Result of the stability comparison: 1 is the most stable of them.


1.
This record from the Materials Project database describes a relaxed structure of SrLaDySnO6. The functional is PBE.

Summary:
**Mass density**: 6.8 g/cm³

CIF file:
```
data_SrLaDySnO6
_chemical_formula_sum 'Sr4 La4 Dy4 Sn4 O24'
_cell_length_a 8.3782
_cell_length_b 8.4006
_cell_length_c 8.4164
_cell_angle_alpha 90.00
_cell_angle_beta 90.00
_cell_angle_gamma 90.00
_symmetry_space_group_name_H-M 'P n n n'
_symmetry_Int_Tables_number 48
loop_
_symmetry_equiv_pos_as_xyz
'x,y,z'
'-x,-y,-z'
'-x+1/2,-y+1/2,z'
'x+1/2,y+1/2,-z'
'x,-y+1/2,-z+1/2'
'-x,y+1/2,z+1/2'
'-x+1/2,y,-z+1/2'
'x+1/2,-y,z+1/2'
loop_
_atom_site_label
_atom_site_fract_x
_atom_site_fract_y
_atom_site_fract_z
_atom_site_occupancy
Sr1 0.2500 0.2500 0.2500 1
Sr2 0.2500 0.7500 0.7500 1
La1 0.2500 0.2500 0.7500 1
La2 0.2500 0.7500 0.2500 1
Dy1 0.0000 0.0000 0.0000 1
Sn1 0.0000 0.0000 0.5000 1
O1 0.0368 0.2419 0.5563 1
O2 0.0476 0.0285 0.2588 1
O3 0.2414 0.5471 0.9681 1
```


2.
This record from the Materials Project database describes a relaxed structure of SrLaDySnO6. The functional is PBE.

Summary:
**Mass density**: 6.7 g/cm³

CIF file:
```
data_SrLaDySnO6
_chemical_formula_sum 'Sr4 La4 Dy4 Sn4 O24'
_cell_length_a 8.4437
_cell_length_b 8.4437
_cell_length_c 8.4437
_cell_angle_alpha 90.00
_cell_angle_beta 90.00
_cell_angle_gamma 90.00
_symmetry_space_group_name_H-M 'F -4 3 m'
_symmetry_Int_Tables_number 216
_symmetry_space_group_name_Hall 'F -4 2 3'
loop_
_atom_site_label
_atom_site_fract_x
_atom_site_fract_y
_atom_site_fract_z
_atom_site_occupancy
Sr1 0.0000 0.0000 0.0000 1
La1 0.0000 0.0000 0.5000 1
Dy1 0.2500 0.2500 0.7500 1
Sn1 0.2500 0.2500 0.2500 1
O1 0.0079 0.2500 0.2500 1
```


Result of the stability comparison: 1 is the most stable of them.


1.
This record from the Materials Project database describes a relaxed structure of Dy5Mg. The functional is PBE.

Summary:
**Mass density**: 7.6 g/cm³

CIF file:
```
data_Dy5Mg
_chemical_formula_sum 'Dy10 Mg2'
_cell_length_a 5.5918
_cell_length_b 3.5741
_cell_length_c 18.3357
_cell_angle_alpha 90.00
_cell_angle_beta 90.00
_cell_angle_gamma 90.00
_symmetry_space_group_name_H-M 'A m m 2'
_symmetry_Int_Tables_number 38
_symmetry_space_group_name_Hall 'A 2 -2'
loop_
_atom_site_label
_atom_site_fract_x
_atom_site_fract_y
_atom_site_fract_z
_atom_site_occupancy
Dy1 0.0000 0.0000 0.0000 1
Dy2 0.0000 0.0000 0.3302 1
Dy3 0.0000 0.0000 0.6685 1
Dy4 0.5000 0.0000 0.1156 1
Dy5 0.5000 0.0000 0.4474 1
Mg1 0.5000 0.0000 0.7791 1
```


2.
This record from the Materials Project database describes a relaxed structure of Dy5Mg. The functional is PBE.

Summary:
**Mass density**: 7.7 g/cm³

CIF file:
```
data_Dy5Mg
_chemical_formula_sum 'Dy15 Mg3'
_cell_length_a 6.1320
_cell_length_b 6.1320
_cell_length_c 16.7029
_cell_angle_alpha 90.00
_cell_angle_beta 90.00
_cell_angle_gamma 120.00
_symmetry_space_group_name_H-M 'R 3 2'
_symmetry_Int_Tables_number 155
_symmetry_space_group_name_Hall 'R 3 2"'
loop_
_atom_site_label
_atom_site_fract_x
_atom_site_fract_y
_atom_site_fract_z
_atom_site_occupancy
Dy1 0.0000 0.0000 0.1680 1
Dy2 0.0000 0.6604 0.0000 1
Mg1 0.0000 0.0000 0.5000 1
```


Result of the stability comparison: 2 is the most stable of them.


1.
This record from the Materials Project database describes a relaxed structure of Dy6MgSb10O24. The functional is PBE.

Summary:
**Mass density**: 6.6 g/cm³

CIF file:
```
data_Dy6MgSb10O24
_chemical_formula_sum 'Dy12 Mg2 Sb20 O48'
_cell_length_a 11.0276
_cell_length_b 15.2609
_cell_length_c 9.3321
_cell_angle_alpha 90.00
_cell_angle_beta 123.99
_cell_angle_gamma 90.00
_symmetry_space_group_name_H-M 'C 1 m 1'
_symmetry_Int_Tables_number 8
_symmetry_space_group_name_Hall 'C -2y'
loop_
_atom_site_label
_atom_site_fract_x
_atom_site_fract_y
_atom_site_fract_z
_atom_site_occupancy
Dy1 0.0000 0.1227 0.0000 1
Dy2 0.1256 0.2430 0.7636 1
Dy3 0.2514 0.1255 0.5180 1
Mg1 0.4365 0.5000 0.5954 1
Sb1 0.1237 0.5000 0.7440 1
Sb2 0.2151 0.0000 0.8459 1
Sb3 0.2288 0.3544 0.5145 1
Sb4 0.3514 0.0000 0.2787 1
Sb5 0.3688 0.2626 0.2694 1
Sb6 0.4041 0.5000 0.2364 1
Sb7 0.4973 0.1442 0.9967 1
O1 0.0313 0.0981 0.2646 1
O2 0.0398 0.3975 0.7983 1
O3 0.0581 0.0928 0.7900 1
O4 0.0824 0.2424 0.4792 1
O5 0.0878 0.2482 0.9772 1
O6 0.1276 0.0000 0.5851 1
O7 0.1426 0.0000 0.0867 1
O8 0.2726 0.3518 0.7531 1
O9 0.2955 0.1474 0.7840 1
O10 0.3054 0.1413 0.2874 1
O11 0.3321 0.5000 0.9770 1
O12 0.3395 0.0000 0.4846 1
O13 0.3708 0.2585 0.5626 1
O14 0.3955 0.2419 0.0729 1
```


2.
This record from the Materials Project database describes a relaxed structure of Dy6MgSb10O24. The functional is PBE.

Summary:
**Mass density**: 6.5 g/cm³

CIF file:
```
data_Dy6MgSb10O24
_chemical_formula_sum 'Dy12 Mg2 Sb20 O48'
_cell_length_a 10.9837
_cell_length_b 10.9837
_cell_length_c 10.9837
_cell_angle_alpha 90.00
_cell_angle_beta 90.00
_cell_angle_gamma 90.00
_symmetry_space_group_name_H-M 'I -4 3 m'
_symmetry_Int_Tables_number 217
_symmetry_space_group_name_Hall 'I -4 2 3'
loop_
_atom_site_label
_atom_site_fract_x
_atom_site_fract_y
_atom_site_fract_z
_atom_site_occupancy
Dy1 0.0000 0.2500 0.5000 1
Mg1 0.0000 0.0000 0.0000 1
Sb1 0.0000 0.0000 0.2901 1
Sb2 0.2439 0.2439 0.2439 1
O1 0.0999 0.3971 0.6029 1
O2 0.1385 0.1385 0.6606 1
```


Result of the stability comparison: 1 is the most stable of them.